Entry 1:
Below is NaSrP3O9 after structural relaxation, with properties calculated at the PBE-GGA level.

Values from the calculation:
DFT total energy in eV per atom: -6.99
ΔH_f (0 K) in eV per atom: -2.8725
Size of the total moment in μB per atom: 0.000

Cell: 6.906 7.258 7.845 Å, 83.83 80.51 82.77°
Fractional positions:
Sr (0.989, 0.268, 0.357)
Sr (0.011, 0.732, 0.643)
O (0.337, 0.082, 0.296)
O (0.228, 0.491, 0.177)
O (0.088, 0.055, 0.658)
O (0.647, 0.264, 0.574)
O (0.369, 0.147, 0.801)
O (0.251, 0.657, 0.864)
O (0.821, 0.615, 0.397)
O (0.032, 0.253, 0.912)
O (0.353, 0.736, 0.426)
O (0.912, 0.945, 0.342)
O (0.313, 0.829, 0.107)
O (0.631, 0.853, 0.199)
O (0.749, 0.343, 0.136)
O (0.663, 0.918, 0.704)
O (0.687, 0.171, 0.893)
O (0.179, 0.385, 0.603)
O (0.968, 0.747, 0.088)
O (0.772, 0.509, 0.823)
P (0.603, 0.120, 0.725)
P (0.397, 0.880, 0.275)
P (0.201, 0.664, 0.057)
P (0.799, 0.336, 0.943)
P (0.166, 0.211, 0.728)
P (0.834, 0.789, 0.272)
Na (0.534, 0.631, 0.658)
Na (0.466, 0.369, 0.342)

Entry 2:
Below is V5Se8 after structural relaxation, with properties calculated at the PBE-GGA level.

Values from the calculation:
DFT total energy in eV per atom: -6.36
ΔH_f (0 K) in eV per atom: -1.0062

Cell: 6.903 6.903 8.383 Å, 53.73 53.73 62.40°
Fractional positions:
Se (0.537, 0.045, 0.170)
Se (0.955, 0.463, 0.830)
Se (0.018, 0.018, 0.678)
Se (0.045, 0.537, 0.170)
Se (0.558, 0.558, 0.666)
Se (0.442, 0.442, 0.334)
Se (0.463, 0.955, 0.830)
Se (0.982, 0.982, 0.322)
V (0.288, 0.712, 0.500)
V (0.729, 0.729, 0.044)
V (0.271, 0.271, 0.956)
V (0.712, 0.288, 0.500)
V (0.000, 0.000, 0.000)

Entry 3:
Below is BaTi10O20 after structural relaxation, with properties calculated at the PBE-GGA level.

Values from the calculation:
DFT total energy in eV per atom: -8.84
ΔH_f (0 K) in eV per atom: -3.4773
Size of the total moment in μB per atom: 0.065

Cell: 8.493 10.383 10.384 Å, 88.35 112.07 112.22°
Fractional positions:
O (0.293, 0.204, 0.574)
O (0.643, 0.118, 0.069)
O (0.360, 0.286, 0.333)
O (0.704, 0.001, 0.625)
O (0.626, 0.239, 0.534)
O (0.355, 0.684, 0.731)
O (0.708, 0.398, 0.029)
O (0.370, 0.556, 0.263)
O (0.704, 0.197, 0.821)
O (0.047, 0.590, 0.234)
O (0.707, 0.796, 0.426)
O (0.625, 0.637, 0.933)
O (0.645, 0.316, 0.269)
O (0.954, 0.607, 0.963)
O (0.046, 0.393, 0.037)
O (0.373, 0.959, 0.666)
O (0.296, 0.399, 0.778)
O (0.640, 0.714, 0.667)
O (0.627, 0.041, 0.334)
O (0.296, 0.999, 0.375)
O (0.048, 0.795, 0.439)
O (0.352, 0.481, 0.526)
O (0.296, 0.803, 0.179)
O (0.630, 0.444, 0.737)
O (0.361, 0.085, 0.132)
O (0.625, 0.841, 0.137)
O (0.953, 0.410, 0.766)
O (0.375, 0.363, 0.067)
O (0.953, 0.010, 0.366)
O (0.047, 0.990, 0.634)
O (0.375, 0.159, 0.863)
O (0.048, 0.197, 0.832)
O (0.374, 0.761, 0.466)
O (0.292, 0.602, 0.971)
O (0.704, 0.601, 0.222)
O (0.639, 0.915, 0.868)
O (0.357, 0.882, 0.931)
O (0.952, 0.803, 0.168)
O (0.952, 0.205, 0.561)
O (0.648, 0.519, 0.474)
Ti (0.472, 0.551, 0.732)
Ti (0.177, 0.791, 0.315)
Ti (0.528, 0.449, 0.268)
Ti (0.822, 0.809, 0.286)
Ti (0.814, 0.398, 0.891)
Ti (0.522, 0.046, 0.867)
Ti (0.823, 0.209, 0.685)
Ti (0.496, 0.755, 0.940)
Ti (0.180, 0.394, 0.915)
Ti (0.186, 0.602, 0.109)
Ti (0.505, 0.643, 0.458)
Ti (0.504, 0.245, 0.060)
Ti (0.820, 0.606, 0.085)
Ti (0.810, 0.998, 0.488)
Ti (0.178, 0.191, 0.714)
Ti (0.190, 0.002, 0.512)
Ti (0.478, 0.154, 0.333)
Ti (0.478, 0.954, 0.133)
Ti (0.495, 0.357, 0.542)
Ti (0.522, 0.846, 0.667)
Ba (0.999, 0.297, 0.297)
Ba (0.001, 0.703, 0.703)

Entry 4:
Below is ErCo6Ge6 after structural relaxation, with properties calculated at the PBE-GGA level.

Values from the calculation:
DFT total energy in eV per atom: -6.12
ΔH_f (0 K) in eV per atom: -0.3518
Size of the total moment in μB per atom: 0.003

Cell: 5.069 5.069 7.851 Å, 90.00 90.00 120.00°
Fractional positions:
Ge (0.333, 0.667, 0.500)
Ge (0.000, 0.000, 0.656)
Ge (0.000, 0.000, 0.344)
Ge (0.667, 0.333, 0.500)
Ge (0.333, 0.667, 0.000)
Ge (0.667, 0.333, 0.000)
Co (0.500, 0.000, 0.750)
Co (0.500, 0.500, 0.750)
Co (0.000, 0.500, 0.250)
Co (0.500, 0.500, 0.250)
Co (0.500, 0.000, 0.250)
Co (0.000, 0.500, 0.750)
Er (0.000, 0.000, 0.000)

Entry 5:
Below is CoSbRh2 after structural relaxation, with properties calculated at the PBE-GGA level.

Values from the calculation:
DFT total energy in eV per atom: -6.69
ΔH_f (0 K) in eV per atom: -0.1991
Size of the total moment in μB per atom: 0.500

Cell: 4.647 4.647 4.647 Å, 128.63 128.63 75.61°
Fractional positions:
Sb (0.500, 0.500, 0.000)
Co (0.000, 0.000, 0.000)
Rh (0.250, 0.750, 0.500)
Rh (0.750, 0.250, 0.500)

Entry 6:
Below is Cs2InHgBr6 after structural relaxation, with properties calculated at the PBE-GGA level.

Values from the calculation:
DFT total energy in eV per atom: -2.61
ΔH_f (0 K) in eV per atom: -1.4590
Size of the total moment in μB per atom: 0.000

Cell: 8.089 8.089 8.089 Å, 60.00 60.00 60.00°
Fractional positions:
Br (0.758, 0.758, 0.242)
Br (0.242, 0.242, 0.758)
Br (0.758, 0.242, 0.242)
Br (0.242, 0.758, 0.242)
Br (0.758, 0.242, 0.758)
Br (0.242, 0.758, 0.758)
In (0.000, 0.000, 0.000)
Cs (0.250, 0.250, 0.250)
Cs (0.750, 0.750, 0.750)
Hg (0.500, 0.500, 0.500)

The lowest ΔH_f (0 K) belongs to which entry?
BaTi10O20